[1]
Nd2BC | PBE-GGA | relaxed

Unit cell a=6.872 b=6.872 c=9.570 alpha=50.68 beta=50.68 gamma=30.89
Atoms (fractional coordinates):
Nd: 0.207 0.207 0.882
Nd: 0.793 0.793 0.118
Nd: 0.560 0.560 0.639
Nd: 0.440 0.440 0.361
B: 0.925 0.925 0.608
B: 0.075 0.075 0.392
C: 0.126 0.126 0.198
C: 0.874 0.874 0.802

Properties
SG: C2/m

=====

[2]
Sr3CaAl8 | PBE-GGA | relaxed

Unit cell a=9.968 b=9.968 c=9.968 alpha=34.16 beta=34.16 gamma=34.16
Atoms (fractional coordinates):
Sr: 0.562 0.562 0.562
Sr: 0.437 0.437 0.437
Sr: 0.938 0.938 0.938
Ca: 0.063 0.063 0.063
Al: 0.750 0.750 0.750
Al: 0.250 0.250 0.250
Al: 0.001 0.501 0.501
Al: 0.498 0.000 0.000
Al: 0.501 0.001 0.501
Al: 0.000 0.498 0.000
Al: 0.501 0.501 0.001
Al: 0.000 0.000 0.498

Properties
SG: R3m

=====

[3]
EuMg2Cu9 | PBE-GGA | relaxed

Unit cell a=5.071 b=5.071 c=16.089 alpha=90.00 beta=90.00 gamma=120.00
Atoms (fractional coordinates):
Eu: 0.667 0.333 0.250
Eu: 0.333 0.667 0.750
Mg: 0.667 0.333 0.468
Mg: 0.333 0.667 0.968
Mg: 0.667 0.333 0.032
Mg: 0.333 0.667 0.532
Cu: 0.333 0.667 0.250
Cu: 0.667 0.333 0.750
Cu: 0.168 0.832 0.378
Cu: 0.168 0.337 0.378
Cu: 0.000 0.000 0.750
Cu: 0.000 0.000 0.250
Cu: 0.000 0.000 0.000
Cu: 0.000 0.000 0.500
Cu: 0.168 0.337 0.122
Cu: 0.832 0.168 0.622
Cu: 0.337 0.168 0.622
Cu: 0.663 0.832 0.122
Cu: 0.168 0.832 0.122
Cu: 0.832 0.663 0.878
Cu: 0.832 0.168 0.878
Cu: 0.832 0.663 0.622
Cu: 0.337 0.168 0.878
Cu: 0.663 0.832 0.378

Properties
Size of the total moment (μB/cell): 13.93
SG: P6_3/mmc

=====

Table of energy of formation (meV per atom), in record order: -303 -276 -138